Entry w
DFT (PBE with a Hubbard U) results for Sr4MgMn2Cu2S2O6 after structural relaxation.

Properties
As for the symmetry: P4mm, No. 99.

Cell lengths 3.948, 3.948, 18.880 Å; angles 90.00, 90.00, 90.00 degrees
Positions (direct):
O 0.750 0.250 0.704
O 0.250 0.250 0.459
O 0.250 0.750 0.327
O 0.750 0.250 0.327
O 0.250 0.750 0.704
O 0.750 0.750 0.576
Sr 0.250 0.250 0.590
Sr 0.750 0.750 0.449
Sr 0.750 0.750 0.255
Sr 0.250 0.250 0.784
S 0.250 0.250 0.031
S 0.750 0.750 0.876
Mn 0.250 0.250 0.351
Mn 0.750 0.750 0.685
Cu 0.250 0.750 0.947
Cu 0.750 0.250 0.947
Mg 0.750 0.750 0.060

=====

Entry x
DFT (PBE with a Hubbard U) results for Sr4MgMn2Cu2S2O6 after structural relaxation.

Properties
As for the symmetry: Pmm2, No. 25.

Cell lengths 3.905, 3.917, 19.591 Å; angles 90.00, 90.00, 90.00 degrees
Positions (direct):
O 0.750 0.750 0.593
O 0.250 0.750 0.716
O 0.250 0.750 0.344
O 0.750 0.250 0.716
O 0.750 0.250 0.196
O 0.250 0.250 0.477
Cu 0.750 0.250 0.942
Cu 0.250 0.750 0.953
Sr 0.750 0.750 0.474
Sr 0.250 0.250 0.796
Sr 0.250 0.250 0.611
Sr 0.750 0.750 0.262
Mn 0.250 0.250 0.374
Mn 0.750 0.750 0.700
S 0.250 0.250 0.027
S 0.750 0.750 0.881
Mg 0.750 0.250 0.101

=====

Short version: entry x is the most stable of them.

=====

Entry w
DFT (PBE with a Hubbard U) results for MgMn2V2Cu2O8 after structural relaxation.

Properties
As for the symmetry: P1, No. 1.

Cell lengths 5.564, 5.683, 6.223 Å; angles 88.85, 87.84, 113.73 degrees
Positions (direct):
O 0.271 0.753 0.018
O 0.779 0.292 0.426
O 0.239 0.293 0.745
O 0.302 0.217 0.253
O 0.744 0.778 0.776
O 0.282 0.773 0.522
O 0.736 0.254 0.018
O 0.785 0.802 0.261
Cu 0.137 0.475 0.257
Cu 0.731 0.305 0.724
V 0.385 0.647 0.762
V 0.659 0.453 0.214
Mg 0.515 0.954 0.256
Mn 0.038 0.992 0.523
Mn 0.048 0.013 0.993

=====

Entry x
DFT (PBE with a Hubbard U) results for MgMn2V2Cu2O8 after structural relaxation.

Properties
As for the symmetry: Pm, No. 6.

Cell lengths 5.961, 5.935, 6.345 Å; angles 90.00, 90.00, 120.48 degrees
Positions (direct):
Mg 0.150 0.840 0.750
Cu 0.702 0.294 0.750
Cu 0.305 0.694 0.250
Mn 0.930 0.074 0.023
Mn 0.930 0.074 0.477
V 0.603 0.398 0.250
V 0.424 0.575 0.750
O 0.297 0.700 0.957
O 0.783 0.784 0.750
O 0.297 0.699 0.543
O 0.727 0.274 0.036
O 0.248 0.228 0.250
O 0.218 0.214 0.750
O 0.774 0.754 0.250
O 0.726 0.273 0.465

=====

Short version: entry w is the most stable of them.

=====

Entry w
DFT (PBE with a Hubbard U) results for MgV2Cu2O8 after structural relaxation.

Properties
As for the symmetry: P2_1/c, No. 14.

Cell lengths 8.359, 6.516, 11.841 Å; angles 89.60, 90.00, 90.00 degrees
Positions (direct):
O 0.400 0.494 0.639
O 0.718 0.580 0.586
O 0.131 0.687 0.725
O 0.988 0.338 0.597
O 0.282 0.420 0.414
O 0.600 0.506 0.361
O 0.733 0.963 0.896
O 0.100 0.494 0.139
O 0.369 0.687 0.225
O 0.075 0.811 0.970
O 0.106 0.084 0.385
O 0.218 0.420 0.914
O 0.539 0.878 0.701
O 0.869 0.313 0.275
O 0.488 0.662 0.903
O 0.012 0.662 0.403
O 0.394 0.084 0.885
O 0.575 0.189 0.530
O 0.894 0.916 0.615
O 0.425 0.811 0.470
O 0.767 0.963 0.396
O 0.461 0.122 0.299
O 0.512 0.338 0.097
O 0.925 0.189 0.030
O 0.782 0.580 0.086
O 0.267 0.037 0.104
O 0.900 0.506 0.861
O 0.039 0.122 0.799
O 0.233 0.037 0.604
O 0.631 0.313 0.775
O 0.961 0.878 0.201
O 0.606 0.916 0.115
Cu 0.057 0.377 0.373
Cu 0.943 0.623 0.627
Cu 0.185 0.764 0.127
Cu 0.815 0.236 0.873
Cu 0.557 0.623 0.127
Cu 0.443 0.377 0.873
Cu 0.685 0.236 0.373
Cu 0.315 0.764 0.627
V 0.587 0.391 0.633
V 0.040 0.103 0.654
V 0.540 0.897 0.846
V 0.460 0.103 0.154
V 0.960 0.897 0.346
V 0.413 0.609 0.367
V 0.913 0.391 0.133
V 0.087 0.609 0.867
Mg 0.338 0.112 0.450
Mg 0.162 0.112 0.950
Mg 0.838 0.888 0.050
Mg 0.662 0.888 0.550

=====

Entry x
DFT (PBE with a Hubbard U) results for MgV2Cu2O8 after structural relaxation.

Properties
As for the symmetry: Imm2, No. 44.

Cell lengths 5.971, 5.971, 5.971 Å; angles 120.18, 118.61, 91.06 degrees
Positions (direct):
Mg 0.978 0.228 0.750
V 0.318 0.568 0.750
V 0.716 0.466 0.250
O 0.213 0.741 0.028
O 0.778 0.226 0.948
O 0.373 0.339 0.034
O 0.804 0.339 0.466
O 0.203 0.683 0.520
O 0.213 0.185 0.472
O 0.778 0.830 0.552
O 0.664 0.683 0.980
Cu 0.966 0.959 0.007
Cu 0.453 0.959 0.493

=====

Short version: entry w is the most stable of them.

=====

Entry w
DFT (PBE with a Hubbard U) results for Mg14VCuO16 after structural relaxation.

Properties
As for the symmetry: Pmmm, No. 47.

Cell lengths 8.557, 8.613, 4.239 Å; angles 90.00, 90.00, 90.00 degrees
Positions (direct):
O 0.500 0.252 0.000
O 0.000 0.736 0.000
O 0.259 0.000 0.000
O 0.749 0.500 0.000
O 0.752 0.250 0.500
O 0.500 0.748 0.000
O 0.248 0.250 0.500
O 0.251 0.500 0.000
O 0.500 0.500 0.500
O 0.248 0.750 0.500
O 0.000 0.000 0.500
O 0.000 0.500 0.500
O 0.752 0.750 0.500
O 0.500 0.000 0.500
O 0.000 0.264 0.000
O 0.741 0.000 0.000
Mg 0.253 0.500 0.500
Mg 0.000 0.243 0.500
Mg 0.250 0.754 0.000
Mg 0.500 0.249 0.500
Mg 0.000 0.757 0.500
Mg 0.750 0.754 0.000
Mg 0.747 0.500 0.500
Mg 0.750 0.246 0.000
Mg 0.500 0.751 0.500
Mg 0.500 0.500 0.000
Mg 0.752 0.000 0.500
Mg 0.500 0.000 0.000
Mg 0.248 0.000 0.500
Mg 0.250 0.246 0.000
Cu 0.000 0.000 0.000
V 0.000 0.500 0.000

=====

Entry x
DFT (PBE with a Hubbard U) results for Mg14VCuO16 after structural relaxation.

Properties
As for the symmetry: P4/mmm, No. 123.

Cell lengths 8.612, 8.612, 4.251 Å; angles 90.00, 90.00, 90.00 degrees
Positions (direct):
Mg 0.000 0.752 0.500
Mg 0.248 0.000 0.500
Mg 0.245 0.500 0.500
Mg 0.500 0.000 0.000
Mg 0.752 0.000 0.500
Mg 0.246 0.246 0.000
Mg 0.000 0.248 0.500
Mg 0.500 0.755 0.500
Mg 0.755 0.500 0.500
Mg 0.000 0.500 0.000
Mg 0.500 0.245 0.500
Mg 0.754 0.754 0.000
Mg 0.246 0.754 0.000
Mg 0.754 0.246 0.000
O 0.750 0.750 0.500
O 0.250 0.750 0.500
O 0.500 0.000 0.500
O 0.250 0.250 0.500
O 0.000 0.000 0.500
O 0.750 0.250 0.500
O 0.500 0.251 0.000
O 0.251 0.500 0.000
O 0.261 0.000 0.000
O 0.739 0.000 0.000
O 0.000 0.500 0.500
O 0.500 0.749 0.000
O 0.500 0.500 0.500
O 0.749 0.500 0.000
O 0.000 0.261 0.000
O 0.000 0.739 0.000
V 0.500 0.500 0.000
Cu 0.000 0.000 0.000

=====

Short version: entry w is the most stable of them.

=====

Entry w
DFT (PBE with a Hubbard U) results for MgV4Cu3O12 after structural relaxation.

Properties
As for the symmetry: P-1, No. 2.

Cell lengths 6.378, 6.367, 6.380 Å; angles 109.65, 109.40, 109.43 degrees
Positions (direct):
O 0.700 0.526 0.823
O 0.481 0.175 0.299
O 0.124 0.817 0.293
O 0.300 0.474 0.177
O 0.823 0.698 0.527
O 0.876 0.183 0.707
O 0.184 0.706 0.878
O 0.816 0.294 0.122
O 0.691 0.876 0.172
O 0.519 0.825 0.701
O 0.309 0.124 0.828
O 0.177 0.301 0.473
Cu 0.500 0.000 0.500
Cu 0.000 0.500 0.500
Cu 0.500 0.500 0.000
V 0.500 0.000 0.000
V 0.000 0.000 0.500
V 0.500 0.500 0.500
V 0.000 0.500 0.000
Mg 0.000 0.000 0.000

=====

Entry x
DFT (PBE with a Hubbard U) results for MgV4Cu3O12 after structural relaxation.

Properties
As for the symmetry: P1, No. 1.

Cell lengths 6.619, 6.340, 6.457 Å; angles 107.74, 110.69, 107.85 degrees
Positions (direct):
Cu 0.520 0.007 0.513
Cu 0.019 0.511 0.510
Cu 0.285 0.424 0.861
O 0.739 0.527 0.840
O 0.834 0.320 0.142
O 0.822 0.685 0.501
O 0.126 0.824 0.325
O 0.892 0.178 0.692
O 0.346 0.137 0.838
O 0.316 0.504 0.192
O 0.715 0.894 0.195
O 0.214 0.329 0.523
O 0.508 0.201 0.332
O 0.528 0.814 0.695
O 0.211 0.699 0.884
V 0.522 0.505 0.515
V 0.012 0.508 0.015
V 0.014 0.001 0.506
V 0.526 0.998 0.008
Mg 0.674 0.539 0.134

=====

Entry y
DFT (PBE with a Hubbard U) results for MgV4Cu3O12 after structural relaxation.

Properties
As for the symmetry: P-1, No. 2.

Cell lengths 6.374, 6.369, 6.383 Å; angles 109.00, 109.65, 109.73 degrees
Positions (direct):
O 0.706 0.526 0.829
O 0.294 0.474 0.171
O 0.876 0.174 0.695
O 0.174 0.699 0.874
O 0.304 0.124 0.828
O 0.696 0.876 0.172
O 0.480 0.181 0.304
O 0.520 0.819 0.696
O 0.822 0.701 0.524
O 0.178 0.299 0.476
O 0.124 0.826 0.305
O 0.826 0.301 0.126
Mg 0.000 0.000 0.000
V 0.000 0.000 0.500
V 0.500 0.500 0.500
V 0.000 0.500 0.000
V 0.500 0.000 0.000
Cu 0.500 0.000 0.500
Cu 0.500 0.500 0.000
Cu 0.000 0.500 0.500

=====

Short version: entry y is the most stable of them.

=====

Entry w
DFT (PBE with a Hubbard U) results for YMgCuW2O8 after structural relaxation.

Properties
As for the symmetry: P1, No. 1.

Cell lengths 5.380, 6.088, 5.972 Å; angles 107.76, 117.18, 89.82 degrees
Positions (direct):
O 0.130 0.629 0.822
O 0.119 0.131 0.780
O 0.106 0.237 0.382
O 0.067 0.794 0.294
O 0.603 0.464 0.339
O 0.542 0.013 0.348
O 0.660 0.352 0.801
O 0.632 0.906 0.845
W 0.862 0.331 0.579
W 0.379 0.042 0.605
Cu 0.221 0.518 0.340
Y 0.595 0.667 0.081
Mg 0.067 0.959 0.010

=====

Entry x
DFT (PBE with a Hubbard U) results for YMgCuW2O8 after structural relaxation.

Properties
As for the symmetry: P1, No. 1.

Cell lengths 5.367, 6.175, 6.127 Å; angles 107.14, 115.58, 91.68 degrees
Positions (direct):
O 0.654 0.378 0.796
O 0.150 0.181 0.807
O 0.664 0.523 0.365
O 0.127 0.652 0.843
O 0.625 0.916 0.819
O 0.113 0.277 0.413
O 0.068 0.821 0.376
O 0.615 0.024 0.410
Y 0.597 0.709 0.049
W 0.360 0.068 0.592
W 0.861 0.363 0.582
Mg 0.893 0.857 0.664
Cu 0.154 0.264 0.128

=====

Entry y
DFT (PBE with a Hubbard U) results for YMgCuW2O8 after structural relaxation.

Properties
As for the symmetry: P1, No. 1.

Cell lengths 5.327, 6.306, 5.988 Å; angles 104.23, 114.10, 92.49 degrees
Positions (direct):
W 0.905 0.391 0.637
W 0.344 0.055 0.562
O 0.596 0.943 0.847
O 0.099 0.813 0.333
O 0.078 0.270 0.393
O 0.150 0.633 0.866
O 0.171 0.176 0.807
O 0.653 0.503 0.353
O 0.609 0.068 0.386
O 0.640 0.378 0.814
Y 0.625 0.723 0.100
Cu 0.125 0.224 0.100
Mg 0.625 0.223 0.100

=====

Short version: entry w is the most stable of them.